# La2Mg17

A relaxed structure of La2Mg17 (PBE, the Materials Project database). Values from VASP.

Quantum ESPRESSO input file:
```
&SYSTEM
  ibrav = 0, nat = 38, ntyp = 2
/
ATOMIC_SPECIES
La 138.91 La.upf
Mg 24.30 Mg.upf
ATOMIC_POSITIONS crystal
La 0.6667 0.3333 0.2500
La 0.3333 0.6667 0.7500
La 0.0000 0.0000 0.7500
La 0.0000 0.0000 0.2500
Mg 0.1623 0.8377 0.5213
Mg 0.1623 0.3247 0.5213
Mg 0.6753 0.8377 0.5213
Mg 0.3247 0.1623 0.0213
Mg 0.3333 0.6667 0.1009
Mg 0.6667 0.3333 0.6009
Mg 0.6667 0.3333 0.8991
Mg 0.3333 0.6667 0.3991
Mg 0.5000 0.0000 0.0000
Mg 0.5000 0.5000 0.5000
Mg 0.0000 0.5000 0.5000
Mg 0.0000 0.5000 0.0000
Mg 0.5000 0.5000 0.0000
Mg 0.5000 0.0000 0.5000
Mg 0.3284 0.9643 0.2500
Mg 0.3641 0.3284 0.7500
Mg 0.9643 0.6359 0.7500
Mg 0.0357 0.3641 0.2500
Mg 0.6359 0.6716 0.2500
Mg 0.3641 0.0357 0.7500
Mg 0.6716 0.6359 0.7500
Mg 0.6716 0.0357 0.7500
Mg 0.9643 0.3284 0.7500
Mg 0.0357 0.6716 0.2500
Mg 0.6359 0.9643 0.2500
Mg 0.3284 0.3641 0.2500
Mg 0.1623 0.3247 0.9787
Mg 0.8377 0.1623 0.4787
Mg 0.3247 0.1623 0.4787
Mg 0.6753 0.8377 0.9787
Mg 0.1623 0.8377 0.9787
Mg 0.8377 0.6753 0.0213
Mg 0.8377 0.1623 0.0213
Mg 0.8377 0.6753 0.4787
CELL_PARAMETERS angstrom
5.1797 -8.9715 0.0000
5.1797 8.9715 0.0000
0.0000 0.0000 10.1759
```

=====

# Nb8Fe2Sb4Pd

A relaxed structure of Nb8Fe2Sb4Pd (PBE, the Materials Project database). Values from VASP.

Quantum ESPRESSO input file:
```
&SYSTEM
  ibrav = 0, nat = 15, ntyp = 4
/
ATOMIC_SPECIES
Nb 92.91 Nb.upf
Fe 55.84 Fe.upf
Sb 121.76 Sb.upf
Pd 106.42 Pd.upf
ATOMIC_POSITIONS crystal
Nb 0.4126 0.8785 0.7181
Nb 0.5730 0.1215 0.2819
Nb 0.9270 0.2819 0.1215
Nb 0.0874 0.7181 0.8785
Nb 0.7089 0.7181 0.1215
Nb 0.3055 0.2819 0.8785
Nb 0.7911 0.1215 0.7181
Nb 0.1945 0.8785 0.2819
Fe 0.2500 0.0000 0.0000
Fe 0.7500 0.0000 0.0000
Sb 0.3767 0.5000 0.1986
Sb 0.6781 0.5000 0.8014
Sb 0.8219 0.8014 0.5000
Sb 0.1233 0.1986 0.5000
Pd 0.2500 0.5000 0.5000
CELL_PARAMETERS angstrom
0.0000 0.0000 4.9569
-5.2880 5.2880 2.4784
-5.2880 -5.2880 -2.4784
```

=====

# SrInO3

A relaxed structure of SrInO3 (PBE, the Materials Project database). Values from VASP.

* corrected total energy (MP2020 scheme): -29.87 eV per cell

Quantum ESPRESSO input file:
```
&SYSTEM
  ibrav = 0, nat = 5, ntyp = 3
/
ATOMIC_SPECIES
Sr 87.62 Sr.upf
In 114.82 In.upf
O 16.00 O.upf
ATOMIC_POSITIONS crystal
Sr 0.0000 0.0000 0.0000
In 0.5000 0.5000 0.5000
O 0.5000 0.5000 0.0000
O 0.5000 0.0000 0.5000
O 0.0000 0.5000 0.5000
CELL_PARAMETERS angstrom
4.2144 0.0000 0.0000
0.0000 4.2144 0.0000
0.0000 0.0000 4.2144
```

=====

# SrNi2B2

A relaxed structure of SrNi2B2 (PBE, the Materials Project database). Values from VASP.

Quantum ESPRESSO input file:
```
&SYSTEM
  ibrav = 0, nat = 20, ntyp = 3
/
ATOMIC_SPECIES
Sr 87.62 Sr.upf
Ni 58.69 Ni.upf
B 10.81 B.upf
ATOMIC_POSITIONS crystal
Sr 0.5000 0.6414 0.3983
Sr 0.5000 0.3586 0.6017
Sr 0.0000 0.8586 0.8983
Sr 0.0000 0.1414 0.1017
Ni 0.5000 0.6943 0.1304
Ni 0.5000 0.3057 0.8696
Ni 0.0000 0.8057 0.6304
Ni 0.0000 0.1943 0.3696
Ni 0.5000 0.6238 0.7583
Ni 0.5000 0.3762 0.2417
Ni 0.0000 0.8762 0.2583
Ni 0.0000 0.1238 0.7417
B 0.5000 0.0721 0.4461
B 0.5000 0.9279 0.5539
B 0.0000 0.4279 0.9461
B 0.0000 0.5721 0.0539
B 0.5000 0.0606 0.3099
B 0.5000 0.9394 0.6901
B 0.0000 0.4394 0.8099
B 0.0000 0.5606 0.1901
CELL_PARAMETERS angstrom
3.2497 0.0000 0.0000
0.0000 6.2818 0.0000
0.0000 0.0000 13.3848
```

=====

Number 1: calculated density 2.43 g/cm3, calculated formation energy -0.061 eV per atom. Number 2: calculated density 8.68 g/cm3, calculated formation energy -0.255 eV per atom. Number 3: calculated density 5.56 g/cm3, calculated formation energy -2.118 eV per atom. Number 4: calculated density 5.51 g/cm3, calculated formation energy 0.032 eV per atom.